First-principles (PBE) data for CrGe after structural relaxation, as listed in Materials Project.

The space group is P2_13 (No. 198) and the conventional cell measures 4.768, 4.768 and 4.768 Å, with angles of 90.00, 90.00 and 90.00 degrees. The distinct sites, in fractional coordinates, are Cr at (0.137, 0.137, 0.137) and Ge at (0.155, 0.345, 0.655).

---

First-principles (PBE) data for Cr3Ge after structural relaxation, as listed in Materials Project.

The space group is Pm-3n (No. 223) and the conventional cell measures 4.588, 4.588 and 4.588 Å, with angles of 90.00, 90.00 and 90.00 degrees. The distinct sites, in fractional coordinates, are Cr at (0.000, 0.250, 0.500) and Ge at (0.000, 0.000, 0.000).

---

Calculated formation energy
In order: 0.0146, -0.1119
Unit: eV per atom